1.
A plane-wave DFT calculation with r2SCAN was carried out for an optimized crystal structure of NaTe3.

The space group is P-3c1 (No. 165) and the conventional cell measures 9.0897, 9.0897 and 22.1238 Å, with angles of 90.00, 90.00 and 120.00 degrees. The inequivalent atoms are Na at (0.0000, 0.0000, 0.1237), Na at (0.3333, 0.6667, 0.2078), Na at (0.3333, 0.6667, 0.4592), Te at (0.0087, 0.4800, 0.1215), Te at (0.1309, 0.3371, 0.2933) and Te at (0.1592, 0.3290, 0.0405).

As for the mass density: 5.11 g cm⁻³. The total energy comes out at -980.64 eV per cell. As for the size of the total moment: 0.0 μB per formula unit. The energy of formation from the pure elements is -0.4761 eV per atom.



2.
A plane-wave DFT calculation with r2SCAN was carried out for an optimized crystal structure of Na2Tl.

The space group is C222_1 (No. 20) and the conventional cell measures 8.8638, 13.8753 and 11.5483 Å, with angles of 90.00, 90.00 and 90.00 degrees. The inequivalent atoms are Na at (0.0000, 0.0702, 0.2500), Na at (0.0890, 0.1333, 0.5819), Na at (0.0922, 0.5000, 0.0000), Na at (0.1977, 0.2956, 0.8284), Na at (0.2204, 0.3772, 0.5405), Tl at (0.0491, 0.2841, 0.1163) and Tl at (0.1784, 0.4523, 0.2764).

As for the mass density: 4.68 g cm⁻³. The total energy comes out at -971.54 eV per cell. As for the size of the total moment: 0.0 μB per formula unit. The energy of formation from the pure elements is -0.1379 eV per atom.



3.
A plane-wave DFT calculation with r2SCAN was carried out for an optimized crystal structure of NaYb3.

The space group is P6_3/mmc (No. 194) and the conventional cell measures 7.0408, 7.0408 and 5.7552 Å, with angles of 90.00, 90.00 and 120.00 degrees. The inequivalent atoms are Na at (0.3333, 0.6667, 0.2500) and Yb at (0.1634, 0.3269, 0.7500).

As for the energy above the most stable polymorph in this dataset: 0 meV/atom. As for the mass density: 7.29 g cm⁻³. The total energy comes out at -223.81 eV per cell. As for the size of the total moment: 1.8 μB per formula unit. The energy of formation from the pure elements is 0.3113 eV per atom.



4.
A plane-wave DFT calculation with r2SCAN was carried out for an optimized crystal structure of Na3Yb.

The space group is P6_3/mmc (No. 194) and the conventional cell measures 7.3214, 7.3214 and 5.8031 Å, with angles of 90.00, 90.00 and 120.00 degrees. The inequivalent atoms are Na at (0.1652, 0.3303, 0.2500) and Yb at (0.3333, 0.6667, 0.7500).

As for the mass density: 2.98 g cm⁻³. The total energy comes out at -91.03 eV per cell. As for the size of the total moment: 0.0 μB per formula unit. The energy of formation from the pure elements is 0.4272 eV per atom.



5.
A plane-wave DFT calculation with r2SCAN was carried out for an optimized crystal structure of Na3Yb.

The space group is Pm-3m (No. 221) and the conventional cell measures 5.1403, 5.1403 and 5.1403 Å, with angles of 90.00, 90.00 and 90.00 degrees. The inequivalent atoms are Na at (0.0000, 0.0000, 0.5000) and Yb at (0.5000, 0.5000, 0.5000).

As for the mass density: 2.96 g cm⁻³. The total energy comes out at -45.54 eV per cell. As for the size of the total moment: 0.6 μB per formula unit. The energy of formation from the pure elements is 0.4203 eV per atom.



6.
A plane-wave DFT calculation with r2SCAN was carried out for an optimized crystal structure of Na3Yb.

The space group is Fm-3m (No. 225) and the conventional cell measures 8.2137, 8.2137 and 8.2137 Å, with angles of 90.00, 90.00 and 90.00 degrees. The inequivalent atoms are Na at (0.0000, 0.0000, 0.0000), Na at (0.2500, 0.2500, 0.2500) and Yb at (0.0000, 0.0000, 0.5000).

As for the mass density: 2.90 g cm⁻³. The total energy comes out at -181.62 eV per cell. As for the size of the total moment: 0.0 μB per formula unit. The energy of formation from the pure elements is 0.4540 eV per atom.



7.
A plane-wave DFT calculation with r2SCAN was carried out for an optimized crystal structure of NaYb3.

The space group is Fm-3m (No. 225) and the conventional cell measures 7.8025, 7.8025 and 7.8025 Å, with angles of 90.00, 90.00 and 90.00 degrees. The inequivalent atoms are Na at (0.0000, 0.0000, 0.0000), Yb at (0.0000, 0.0000, 0.5000) and Yb at (0.2500, 0.2500, 0.2500).

As for the energy above the most stable polymorph in this dataset: 38 meV/atom. As for the mass density: 7.58 g cm⁻³. The total energy comes out at -447.03 eV per cell. As for the size of the total moment: 0.0 μB per formula unit. The energy of formation from the pure elements is 0.3489 eV per atom.



8.
A plane-wave DFT calculation with r2SCAN was carried out for an optimized crystal structure of Nb.

The space group is P-1 (No. 2) and the conventional cell measures 2.9846, 4.6207 and 9.5715 Å, with angles of 102.27, 95.40 and 90.82 degrees. The inequivalent atoms are Nb at (0.0000, 0.0000, 0.0000), Nb at (0.1425, 0.7133, 0.4284), Nb at (0.2862, 0.4302, 0.8573) and Nb at (0.4284, 0.1406, 0.2855).

As for the energy above the most stable polymorph in this dataset: 12 meV/atom. As for the mass density: 8.42 g cm⁻³. The total energy comes out at -173.06 eV per cell. As for the size of the total moment: 0.0 μB per formula unit. The energy of formation from the pure elements is 0.0118 eV per atom.



9.
A plane-wave DFT calculation with r2SCAN was carried out for an optimized crystal structure of Nb.

The space group is Im-3m (No. 229) and the conventional cell measures 3.3176, 3.3176 and 3.3176 Å, with angles of 90.00, 90.00 and 90.00 degrees. The inequivalent atoms are Nb at (0.0000, 0.0000, 0.0000).

As for the energy above the most stable polymorph in this dataset: 0 meV/atom. As for the mass density: 8.45 g cm⁻³. The total energy comes out at -49.47 eV per cell. As for the size of the total moment: 0.0 μB per formula unit. The energy of formation from the pure elements is 0.0000 eV per atom.



10.
A plane-wave DFT calculation with r2SCAN was carried out for an optimized crystal structure of NdNbO4.

The space group is C2/c (No. 15) and the conventional cell measures 7.2939, 11.3638 and 5.2064 Å, with angles of 90.00, 131.44 and 90.00 degrees. The inequivalent atoms are Nd at (0.0000, 0.1289, 0.2500), Nb at (0.0000, 0.3936, 0.7500), O at (0.1536, 0.2918, 0.6597) and O at (0.2426, 0.4677, 0.1920).

As for the mass density: 6.18 g cm⁻³. The total energy comes out at -392.11 eV per cell. As for the size of the total moment: 0.0 μB per formula unit. The energy of formation from the pure elements is -3.3308 eV per atom.



11.
A plane-wave DFT calculation with r2SCAN was carried out for an optimized crystal structure of NbNi3.

The space group is Pmmn (No. 59, origin choice 2) and the conventional cell measures 4.2191, 5.0827 and 4.5273 Å, with angles of 90.00, 90.00 and 90.00 degrees. The inequivalent atoms are Nb at (0.2500, 0.2500, 0.1503), Ni at (0.2500, 0.0010, 0.6578) and Ni at (0.2500, 0.7500, 0.1849).

As for the mass density: 9.20 g cm⁻³. The total energy comes out at -123.34 eV per cell. As for the size of the total moment: 0.0 μB per formula unit. The energy of formation from the pure elements is -0.2482 eV per atom.



12.
A plane-wave DFT calculation with r2SCAN was carried out for an optimized crystal structure of NbNi3.

The space group is I4/mmm (No. 139) and the conventional cell measures 3.6168, 3.6168 and 7.4412 Å, with angles of 90.00, 90.00 and 90.00 degrees. The inequivalent atoms are Nb at (0.0000, 0.0000, 0.0000), Ni at (0.0000, 0.0000, 0.5000) and Ni at (0.0000, 0.5000, 0.2500).

As for the mass density: 9.18 g cm⁻³. The total energy comes out at -123.27 eV per cell. As for the size of the total moment: 0.0 μB per formula unit. The energy of formation from the pure elements is -0.2392 eV per atom.